DFT (GGA-PBE) results for Li5GeP3 after structural relaxation.

## Properties
E_form = -0.532 eV per atom
E = -3.9107 eV per atom

The structure in POSCAR format:
```
Li5GeP3
1.0
2.963 6.515 0.000
-2.963 6.515 0.000
0.000 2.756 8.091
Li Ge P
10 2 6
direct
0.420 0.900 0.425
0.420 0.922 0.905
0.747 0.246 0.747
0.756 0.241 0.260
0.922 0.420 0.405
0.090 0.571 0.072
0.900 0.420 0.925
0.241 0.756 0.760
0.571 0.090 0.572
0.246 0.747 0.247
0.042 0.621 0.622
0.621 0.042 0.122
0.970 0.011 0.007
0.694 0.650 0.657
0.011 0.970 0.507
0.346 0.317 0.310
0.650 0.694 0.157
0.317 0.346 0.810
```